SbOsS: relaxed, PBE-GGA. Values from VASP.

Structure (Quantum ESPRESSO input):
```
&SYSTEM
  ibrav = 0, nat = 12, ntyp = 3
/
ATOMIC_SPECIES
Os 190.23 Os.upf
S 32.06 S.upf
Sb 121.76 Sb.upf
CELL_PARAMETERS angstrom
0.0000 -6.1945 0.0000
-5.8414 0.0000 2.3167
-0.0045 0.0000 -6.2873
ATOMIC_POSITIONS angstrom
Os -4.1121 -3.1824 0.3859
Os -1.7337 -3.0122 -4.3564
Os -1.7315 -0.0851 -1.2128
Os -4.1144 -6.1094 -2.7578
S -3.7786 -3.9253 -3.6598
S -2.0673 -2.2692 -0.3107
S -3.7763 -5.3665 -0.5162
S -2.0695 -0.8280 -3.4544
Sb -4.9730 -0.8044 1.1650
Sb -0.8729 -5.3901 -5.1356
Sb -4.9752 -2.2928 -1.9786
Sb -0.8706 -3.9017 -1.9919
```

Calculated formation energy   -0.418 eV/atom
Symmetry   No. 14
Electronic total energy   -6.748 eV/atom
ρ   10.042 Mg/m³


PuNi5: relaxed, PBE-GGA. Values from VASP.

Structure (Quantum ESPRESSO input):
```
&SYSTEM
  ibrav = 0, nat = 6, ntyp = 2
/
ATOMIC_SPECIES
Ni 58.69 Ni.upf
Pu 244.00 Pu.upf
CELL_PARAMETERS angstrom
3.1591 -1.3689 -1.9452
1.7284 4.5631 -0.4041
2.9292 1.8248 3.4731
ATOMIC_POSITIONS angstrom
Ni 1.5525 2.1293 1.0230
Ni 3.1051 4.2586 2.0460
Ni 2.4437 1.5971 -1.1746
Ni 3.0441 0.2280 0.7639
Ni 3.9083 2.5095 0.5619
Pu 0.0000 0.0000 0.0000
```

Calculated formation energy   -0.207 eV/atom
Symmetry   No. 191
Electronic total energy   -7.402 eV/atom
ρ   10.871 Mg/m³


BaBi4I2O4: relaxed, PBE-GGA. Values from VASP.

Structure (Quantum ESPRESSO input):
```
&SYSTEM
  ibrav = 0, nat = 11, ntyp = 4
/
ATOMIC_SPECIES
I 126.90 I.upf
Bi 208.98 Bi.upf
Ba 137.33 Ba.upf
O 16.00 O.upf
CELL_PARAMETERS angstrom
-5.8006 14.4314 7.5386
-10.6086 11.2719 7.6905
8.9676 -13.8892 -5.0413
ATOMIC_POSITIONS angstrom
I -10.9132 17.0944 10.1284
I -5.4959 8.6089 5.1007
Bi -12.7317 19.9430 11.8162
Bi -3.6774 5.7603 3.4129
Bi -1.3482 2.1119 1.2513
Bi -15.0609 23.5914 13.9778
Ba -8.2046 12.8516 7.6146
O -8.1273 10.1368 8.1060
O -5.7233 11.7165 8.0300
O 0.6858 1.6773 2.0819
O -1.7182 0.0976 2.1578
```

Calculated formation energy   -1.264 eV/atom
Symmetry   No. 139
Electronic total energy   -4.680 eV/atom
ρ   7.596 Mg/m³


Al2O3: relaxed, PBE-GGA. Values from VASP.

Structure (Quantum ESPRESSO input):
```
&SYSTEM
  ibrav = 0, nat = 100, ntyp = 2
/
ATOMIC_SPECIES
O 16.00 O.upf
Al 26.98 Al.upf
CELL_PARAMETERS angstrom
10.3882 -0.0907 0.8454
-0.1094 10.8419 -0.1974
0.8106 -0.2021 10.3393
ATOMIC_POSITIONS angstrom
O 4.9107 5.6936 7.6138
O 1.7396 0.9585 2.2473
O 1.5358 1.0762 9.9231
O 10.4633 8.7788 3.6563
O 1.5800 6.5061 6.1317
O 9.9619 2.5049 10.7269
O 3.2731 1.9721 0.5139
O 7.4330 9.9578 3.7897
O 6.0142 0.2627 6.9517
O 0.3989 5.6203 3.8065
O 8.7063 10.0180 6.6213
O 8.9615 1.7592 7.8896
O 8.0589 1.6971 2.3780
O 3.8354 7.5311 0.3778
O 6.6209 8.7215 5.9204
O 3.5395 9.9173 6.2791
O 1.1464 6.8602 1.4840
O 7.1826 4.4194 1.4832
O 4.4067 3.1001 8.6929
O 8.1767 1.2916 5.3821
O 9.5158 7.3851 5.6573
O 9.4419 4.4202 6.5835
O 8.0391 7.7501 10.2084
O 1.9254 9.6774 0.8728
O 4.7178 8.7165 3.5988
O 8.1519 4.5258 4.0523
O 2.0689 4.0900 1.8757
O 9.4953 4.9993 1.9635
O 6.8837 10.2679 8.9499
O 7.5418 6.9672 7.4678
O 2.6274 7.1312 9.0635
O 4.0186 7.2779 5.5262
O 5.9552 9.5555 1.3831
O 10.0065 6.5078 8.4712
O 6.5459 5.8644 9.8600
O 0.8909 3.2331 7.5300
O 6.1195 6.6900 2.3751
O 6.8089 2.1729 9.7451
O 9.0609 -0.0396 10.2340
O 5.1428 8.1556 8.0464
O 3.5743 1.8650 5.9656
O 5.7434 3.3509 5.9840
O 1.1209 9.0191 7.3258
O 2.1598 4.0773 9.8884
O 3.3233 2.7587 3.4556
O 9.4172 10.5300 2.1120
O 5.5287 3.7535 3.5221
O 3.0832 4.2492 6.1364
O 3.6625 5.7516 3.6074
O 8.6473 7.3222 2.9451
O 5.2308 0.6204 4.3162
O 10.0402 2.7798 3.4228
O 4.4481 4.3185 0.8820
O 8.3554 4.4212 9.1022
O 0.9448 3.0374 4.6278
O 10.3240 0.3391 4.7942
O 6.1684 6.1202 5.1007
O 2.0076 9.6354 4.3672
O 4.3400 0.0388 9.1328
O 1.0607 0.8946 6.3094
Al 9.7143 0.7453 6.4595
Al 8.2050 6.2941 8.9871
Al 9.0386 1.1317 3.7791
Al 10.2600 7.0532 3.8770
Al 6.9679 4.1004 10.3666
Al 8.5853 3.3828 1.9956
Al 5.7850 10.0580 3.0585
Al 3.9743 4.2373 2.6331
Al 5.8431 7.1234 6.6483
Al 9.3071 0.9447 1.0628
Al 1.2992 7.3553 7.7459
Al 6.5620 4.4152 4.8064
Al 4.6921 2.4890 4.5147
Al 7.2357 10.5312 5.6006
Al 4.5208 6.7914 8.9753
Al 4.5689 0.4712 6.0165
Al 4.5510 4.0041 7.1625
Al 8.8490 9.1184 3.0043
Al 1.9009 2.6561 6.0822
Al 9.8621 4.0009 4.8344
Al 3.7487 3.4711 10.5112
Al 5.3860 9.8776 8.0546
Al 0.8366 5.1669 1.0890
Al 7.8392 5.7845 2.5079
Al 3.4933 8.8275 4.8565
Al 2.1604 0.5353 0.4809
Al 10.2370 6.0634 6.6071
Al 5.6507 7.4021 0.7862
Al 5.1035 6.8961 3.8489
Al 1.1870 2.7281 9.2082
Al 1.5839 2.5862 2.9617
Al 9.4684 3.4761 8.1087
Al 1.0820 10.3062 2.8685
Al 7.7794 9.4864 10.2811
Al 8.2816 8.2764 6.5027
Al 1.6669 10.1416 6.1759
Al 2.9480 5.7990 5.2973
Al 5.1284 1.6062 9.4360
Al 8.0151 0.9664 9.1533
Al 2.0670 7.9942 0.4720
```

Calculated formation energy   -3.235 eV/atom
Symmetry   No. 1
Electronic total energy   -7.290 eV/atom
ρ   2.928 Mg/m³